No. 1
Na2Co3O6: optimized geometry, PBE with a Hubbard U.

abc: 6.848 6.848 8.111
angles: 90.00 90.00 102.03
Element x y z (fractional)
Na: 0.502 0.498 0.000
Na: 0.901 0.099 0.500
Na: 0.012 0.549 0.000
Na: 0.451 0.988 0.000
Co: 0.828 0.820 0.788
Co: 0.718 0.282 0.230
Co: 0.718 0.282 0.770
Co: 0.180 0.172 0.788
Co: 0.180 0.172 0.212
Co: 0.828 0.820 0.212
O: 0.683 0.007 0.250
O: 0.445 0.249 0.193
O: 0.340 0.660 0.576
O: 0.340 0.660 0.424
O: 0.097 0.903 0.809
O: 0.097 0.903 0.191
O: 0.993 0.317 0.750
O: 0.993 0.317 0.250
O: 0.751 0.555 0.807
O: 0.751 0.555 0.193
O: 0.683 0.007 0.750
O: 0.445 0.249 0.807

Output
The calculation puts the spin magnetization at 0.91 μB per atom. For the formation energy, the calculation gives -861 kJ/mol of formula units. As for the energy relative to the lowest polymorph listed for this composition: 0.5648 eV per atom. The calculation puts the volume at 372.0 Å³ per cell. Its final energy is -5.15 eV per atom. As for the symmetry: Amm2 (38).

=====

No. 2
NaCo2O4: optimized geometry, PBE with a Hubbard U.

abc: 3.040 3.040 10.815
angles: 90.00 90.00 122.34
Element x y z (fractional)
Na: 0.331 0.669 0.000
Co: 0.998 0.002 0.255
Co: 0.998 0.002 0.745
O: 0.653 0.347 0.150
O: 0.351 0.649 0.336
O: 0.351 0.649 0.664
O: 0.653 0.347 0.850

Output
The calculation puts the spin magnetization at 0.14 μB per atom. For the formation energy, the calculation gives -812 kJ/mol of formula units. As for the energy relative to the lowest polymorph listed for this composition: 0.2502 eV per atom. The calculation puts the volume at 84.4 Å³ per cell. Its final energy is -5.39 eV per atom. As for the symmetry: Amm2 (38).

=====

No. 3
Na2Co2O3: optimized geometry, PBE with a Hubbard U.

abc: 5.873 6.072 5.879
angles: 118.64 90.00 90.00
Element x y z (fractional)
Na: 0.653 0.903 0.143
Na: 0.847 0.403 0.143
Na: 0.153 0.597 0.857
Na: 0.347 0.097 0.857
Co: 0.875 0.920 0.661
Co: 0.625 0.420 0.661
Co: 0.375 0.580 0.339
Co: 0.125 0.080 0.339
O: 0.500 0.500 0.000
O: 0.000 0.000 0.000
O: 0.088 0.752 0.358
O: 0.412 0.252 0.358
O: 0.588 0.748 0.642
O: 0.912 0.248 0.642

Output
For the formation energy, the calculation gives -957 kJ/mol of formula units. As for the energy relative to the lowest polymorph listed for this composition: 0.0000 eV per atom. The calculation puts the volume at 184.0 Å³ per cell. Its final energy is -5.18 eV per atom. As for the symmetry: P2_1/c (14).

=====

No. 4
NaCo2O3: optimized geometry, PBE with a Hubbard U.

abc: 5.224 5.907 5.896
angles: 120.81 90.21 90.07
Element x y z (fractional)
Na: 0.998 0.326 0.326
Na: 0.497 0.675 0.675
Co: 0.519 0.996 0.335
Co: 0.014 0.671 0.006
Co: 0.521 0.335 0.995
Co: 0.014 0.005 0.671
O: 0.464 0.261 0.261
O: 0.959 0.711 0.711
O: 0.392 0.063 0.660
O: 0.877 0.340 0.957
O: 0.392 0.660 0.064
O: 0.876 0.957 0.340

Output
The calculation puts the spin magnetization at 0.00 μB per atom. For the formation energy, the calculation gives -825 kJ/mol of formula units. As for the energy relative to the lowest polymorph listed for this composition: 0.0231 eV per atom. The calculation puts the volume at 156.2 Å³ per cell. Its final energy is -5.60 eV per atom. As for the symmetry: P1 (1).

=====

The lowest energy relative to the lowest polymorph listed for this composition belongs to which entry?
Na2Co2O3